First-principles (PBE+U) data for a geometry-optimized Li2Fe2Si2O9 structure, as listed in Materials Project.

Cell: 14.075 8.623 5.057 Å, 90.00 90.00 90.00°
Fractional coordinates of all 60 atoms:
O 0.073 0.200 0.875
O 0.082 0.839 0.813
O 0.418 0.162 0.818
O 0.427 0.700 0.375
O 0.927 0.700 0.625
O 0.571 0.304 0.626
O 0.270 0.172 0.456
O 0.929 0.804 0.126
O 0.916 0.505 0.212
O 0.269 0.319 0.974
O 0.916 0.000 0.712
O 0.584 0.005 0.712
O 0.584 0.500 0.212
O 0.416 0.505 0.788
O 0.730 0.672 0.044
O 0.918 0.162 0.182
O 0.416 0.000 0.288
O 0.769 0.172 0.544
O 0.754 0.000 0.029
O 0.746 0.500 0.529
O 0.231 0.672 0.956
O 0.231 0.819 0.474
O 0.082 0.662 0.318
O 0.573 0.200 0.125
O 0.918 0.339 0.687
O 0.084 0.005 0.288
O 0.582 0.662 0.682
O 0.254 0.000 0.971
O 0.429 0.804 0.874
O 0.084 0.500 0.788
O 0.769 0.319 0.026
O 0.418 0.339 0.313
O 0.582 0.839 0.187
O 0.731 0.819 0.526
O 0.071 0.304 0.374
O 0.246 0.500 0.471
Li 0.344 0.531 0.135
Li 0.656 0.467 0.858
Li 0.156 0.031 0.635
Li 0.344 0.967 0.642
Li 0.656 0.031 0.365
Li 0.844 0.967 0.358
Li 0.156 0.467 0.142
Li 0.844 0.531 0.865
Fe 0.670 0.652 0.367
Fe 0.330 0.152 0.133
Fe 0.669 0.848 0.865
Fe 0.830 0.152 0.867
Fe 0.170 0.652 0.633
Fe 0.831 0.348 0.365
Fe 0.169 0.848 0.135
Fe 0.331 0.348 0.635
Si 0.536 0.161 0.822
Si 0.036 0.342 0.679
Si 0.464 0.661 0.678
Si 0.036 0.161 0.178
Si 0.964 0.661 0.322
Si 0.964 0.842 0.821
Si 0.536 0.342 0.321
Si 0.464 0.842 0.179

Output
Uncorrected energy ... -6.63 eV/atom
Total moment ... 32.0 μB per cell
Offset from the most stable computed form ... 0.000 eV per atom
Formation energy ... -2.27 eV/atom